Arrangement A

VASP calculation (GGA-PBE) on a geometry-optimized Mg14CdSb structure.

Geometry as extended XYZ:
```
16
Lattice="6.377 0.000 0.000 -3.189 5.523 0.000 0.000 0.000 10.359" Properties=species:S:1:pos:R:3 pbc="T T T"
Mg 0.000 0.000 2.592
Mg 0.000 0.000 7.767
Mg 1.590 0.918 0.000
Mg 1.594 0.920 5.179
Mg 3.189 0.021 2.629
Mg 3.189 0.021 7.730
Mg 1.612 2.751 2.629
Mg 1.612 2.751 7.730
Mg 4.784 0.920 5.179
Mg 3.189 3.683 5.179
Mg 4.788 0.918 0.000
Mg 3.189 3.688 0.000
Mg 4.765 2.751 2.629
Mg 4.765 2.751 7.730
Cd 0.000 3.682 5.179
Sb 0.000 3.682 0.000
```

=====

Arrangement B

VASP calculation (GGA-PBE) on a geometry-optimized Mg14CdSb structure.

Geometry as extended XYZ:
```
16
Lattice="10.366 0.000 0.000 0.000 3.233 5.486 0.000 -3.233 5.486" Properties=species:S:1:pos:R:3 pbc="T T T"
Mg 0.000 0.000 0.000
Mg 0.000 -1.612 2.746
Mg 0.000 1.612 2.746
Mg 0.000 0.000 5.481
Mg 2.572 0.000 1.838
Mg 2.586 -1.606 4.569
Mg 2.586 1.606 4.569
Mg 2.587 0.000 7.313
Mg 5.183 -1.611 8.225
Mg 5.183 1.611 8.225
Mg 7.780 -1.606 4.569
Mg 7.780 1.606 4.569
Mg 7.779 0.000 7.313
Mg 7.795 0.000 1.838
Cd 5.183 0.000 5.497
Sb 5.183 0.000 10.971
```

=====

Least stable = arrangement B

=====

Arrangement A

VASP calculation (GGA-PBE) on a geometry-optimized Mg14CdSi structure.

Geometry as extended XYZ:
```
16
Lattice="10.370 0.000 0.000 0.000 3.157 5.424 0.000 -3.157 5.424" Properties=species:S:1:pos:R:3 pbc="T T T"
Mg 0.000 0.000 0.000
Mg 0.000 -1.573 2.719
Mg 0.000 0.000 5.419
Mg 0.000 1.573 2.719
Mg 2.577 0.000 7.233
Mg 2.606 0.000 1.793
Mg 2.628 -1.592 4.534
Mg 2.628 1.592 4.534
Mg 5.185 -1.575 8.132
Mg 5.185 1.575 8.132
Mg 7.742 -1.592 4.534
Mg 7.742 1.592 4.534
Mg 7.763 0.000 1.793
Mg 7.793 0.000 7.233
Cd 5.185 0.000 5.435
Si 5.185 0.000 0.012
```

=====

Arrangement B

VASP calculation (GGA-PBE) on a geometry-optimized Mg14CdSi structure.

Geometry as extended XYZ:
```
16
Lattice="6.272 0.000 0.000 -3.136 5.431 0.000 0.000 0.000 10.344" Properties=species:S:1:pos:R:3 pbc="T T T"
Mg 0.000 0.000 2.573
Mg 0.000 0.000 7.770
Mg -1.555 2.723 2.598
Mg -1.555 2.723 7.746
Mg 1.563 0.902 5.172
Mg 1.569 0.906 0.000
Mg 1.555 2.723 2.598
Mg 1.555 2.723 7.746
Mg 0.000 5.417 2.598
Mg 0.000 5.417 7.746
Mg 4.703 0.906 0.000
Mg 3.136 3.620 0.000
Mg 4.709 0.902 5.172
Mg 3.136 3.627 5.172
Cd 0.000 3.621 0.000
Si 0.000 3.621 5.172
```

=====

Least stable = arrangement A

=====

Arrangement A

VASP calculation (GGA-PBE) on a geometry-optimized Mg6TiCd structure.

Geometry as extended XYZ:
```
16
Lattice="4.981 0.000 0.000 0.000 6.280 0.000 0.000 0.000 11.010" Properties=species:S:1:pos:R:3 pbc="T T T"
Mg 0.000 3.140 9.130
Mg 0.000 4.744 0.936
Ti 2.491 3.140 7.353
Mg 0.000 1.604 6.441
Mg 0.000 4.676 6.441
Cd 2.491 0.000 7.326
Cd 2.491 3.140 1.821
Ti 2.491 0.000 1.848
Mg 2.491 1.586 10.100
Mg 0.000 0.000 9.169
Mg 0.000 0.000 3.625
Mg 2.491 1.554 4.595
Mg 0.000 1.536 0.936
Mg 2.491 4.693 10.100
Mg 2.491 4.726 4.595
Mg 0.000 3.140 3.664
```

=====

Arrangement B

VASP calculation (GGA-PBE) on a geometry-optimized Mg6TiCd structure.

Geometry as extended XYZ:
```
16
Lattice="-0.464 -3.299 3.694 -3.561 -3.686 -3.741 9.004 -5.164 -3.481" Properties=species:S:1:pos:R:3 pbc="T T T"
Mg 2.565 -5.779 -4.840
Mg 1.272 -2.512 1.265
Cd -0.466 -4.380 -0.621
Ti 7.497 -4.300 -2.898
Cd 5.816 -5.119 -0.491
Mg 3.993 -6.938 -2.345
Mg 7.132 -7.276 -2.253
Mg 5.736 -6.154 -4.776
Ti 1.214 -3.561 -3.028
Mg -1.923 -3.182 -3.084
Mg 3.014 -1.729 -1.165
Mg -0.157 -1.354 -1.229
Mg 4.359 -3.921 -2.954
Mg 2.594 -4.732 -0.552
Mg 0.850 -6.537 -2.383
Mg 5.315 -9.158 -4.162
```

=====

Least stable = arrangement B

=====

Arrangement A

VASP calculation (GGA-PBE) on a geometry-optimized Mg14CdW structure.

Geometry as extended XYZ:
```
16
Lattice="6.294 0.000 0.000 -3.147 5.451 0.000 0.000 0.000 9.961" Properties=species:S:1:pos:R:3 pbc="T T T"
Mg 0.000 0.000 2.480
Mg 0.000 0.000 7.481
Mg -1.511 2.762 2.413
Mg -1.511 2.762 7.548
Mg 1.577 0.910 0.000
Mg 1.575 0.909 4.981
Mg 1.511 2.762 2.413
Mg 1.511 2.762 7.548
Mg 0.000 5.379 2.413
Mg 0.000 5.379 7.548
Mg 4.718 0.910 0.000
Mg 4.720 0.909 4.981
Mg 3.147 3.631 0.000
Mg 3.147 3.633 4.981
Cd 0.000 3.634 4.981
W 0.000 3.634 0.000
```

=====

Arrangement B

VASP calculation (GGA-PBE) on a geometry-optimized Mg14CdW structure.

Geometry as extended XYZ:
```
16
Lattice="9.968 0.000 0.000 0.000 3.158 5.428 0.000 -3.158 5.428" Properties=species:S:1:pos:R:3 pbc="T T T"
Mg 0.000 0.000 0.000
Mg 0.000 -1.570 2.720
Mg 0.000 1.570 2.720
Mg 0.000 0.000 5.418
Mg 2.498 0.000 7.239
Mg 2.573 0.000 1.751
Mg 2.596 -1.629 4.558
Mg 2.596 1.629 4.558
Mg 4.984 -1.571 2.708
Mg 4.984 1.571 2.708
Mg 7.372 -1.629 4.558
Mg 7.372 1.629 4.558
Mg 7.395 0.000 1.751
Mg 7.470 0.000 7.239
Cd 4.984 0.000 5.440
W 4.984 0.000 0.003
```

=====

Least stable = arrangement B

=====

Arrangement A

VASP calculation (GGA-PBE) on a geometry-optimized Mn3CdTe4 structure.

Geometry as extended XYZ:
```
8
Lattice="4.165 0.000 0.000 0.000 4.165 0.000 0.000 0.000 11.928" Properties=species:S:1:pos:R:3 pbc="T T T"
Mn 0.000 0.000 0.000
Mn 2.082 2.082 2.973
Mn 2.082 2.082 8.955
Cd 0.000 0.000 5.964
Te 0.000 0.000 2.864
Te 0.000 0.000 9.064
Te 2.082 2.082 0.000
Te 2.082 2.082 5.964
```

=====

Arrangement B

VASP calculation (GGA-PBE) on a geometry-optimized Mn3CdTe4 structure.

Geometry as extended XYZ:
```
8
Lattice="2.284 1.319 14.799 -2.284 1.319 14.799 0.000 -2.637 14.799" Properties=species:S:1:pos:R:3 pbc="T T T"
Mn 0.000 0.000 0.000
Mn 0.000 0.000 11.113
Mn 0.000 0.000 33.250
Cd 0.000 0.000 22.219
Te 0.000 0.000 2.779
Te 0.000 0.000 13.883
Te 0.000 0.000 25.071
Te 0.000 0.000 35.978
```

=====

Least stable = arrangement A

=====

Arrangement A

VASP calculation (GGA-PBE) on a geometry-optimized VCd2N3 structure.

Geometry as extended XYZ:
```
24
Lattice="2.926 -5.118 0.000 2.926 5.118 0.000 0.000 0.000 11.061" Properties=species:S:1:pos:R:3 pbc="T T T"
V 2.926 2.586 9.290
V 2.926 2.532 3.759
V 2.926 -2.532 7.301
V 2.926 -2.586 1.771
Cd 2.926 4.704 7.167
Cd 2.926 3.722 0.856
Cd 2.926 1.396 6.386
Cd 2.926 0.414 1.636
Cd 2.926 -0.414 9.424
Cd 2.926 -1.396 4.674
Cd 2.926 -3.722 10.204
Cd 2.926 -4.704 3.894
N 1.463 2.108 8.295
N 2.926 4.405 9.436
N 2.926 3.487 5.279
N 2.926 1.631 10.809
N 2.926 0.713 3.906
N 1.463 -2.108 2.765
N 4.389 2.108 8.295
N 2.926 -0.713 7.155
N 2.926 -1.631 0.251
N 2.926 -3.487 5.782
N 2.926 -4.405 1.624
N 4.389 -2.108 2.765
```

=====

Arrangement B

VASP calculation (GGA-PBE) on a geometry-optimized VCd2N3 structure.

Geometry as extended XYZ:
```
12
Lattice="5.185 -3.017 0.000 5.185 3.017 0.000 0.000 0.000 5.593" Properties=species:S:1:pos:R:3 pbc="T T T"
V 5.185 2.073 2.796
V 5.185 -2.073 0.000
Cd 3.501 1.030 5.559
Cd 6.870 1.030 5.559
Cd 3.501 -1.030 2.763
Cd 6.870 -1.030 2.763
N 5.185 2.317 0.913
N 3.724 1.160 3.280
N 6.647 1.160 3.280
N 3.724 -1.160 0.483
N 6.647 -1.160 0.483
N 5.185 -2.317 3.709
```

=====

Least stable = arrangement A